[1]
An optimized crystal structure of Cs2Mo5P9O33. Source: Materials Project, functional GGA+U.

Cell lengths 6.599, 14.789, 16.013 Å; angles 90.14, 98.14, 90.72 degrees
Atoms (fractional coordinates):
Cs 0.366 0.241 0.443
Cs 0.634 0.759 0.557
Cs 0.000 0.500 0.000
Cs 0.000 0.000 0.000
Mo 0.876 0.372 0.594
Mo 0.124 0.628 0.406
Mo 0.474 0.385 0.861
Mo 0.526 0.615 0.139
Mo 0.866 0.114 0.603
Mo 0.134 0.886 0.397
Mo 0.473 0.130 0.873
Mo 0.527 0.870 0.127
Mo 0.822 0.256 0.234
Mo 0.178 0.744 0.766
P 0.959 0.359 0.810
P 0.041 0.641 0.190
P 0.374 0.081 0.652
P 0.626 0.919 0.348
P 0.959 0.149 0.818
P 0.041 0.851 0.182
P 0.877 0.084 0.390
P 0.123 0.916 0.610
P 0.381 0.409 0.638
P 0.619 0.591 0.362
P 0.879 0.426 0.391
P 0.121 0.574 0.609
P 0.332 0.248 0.182
P 0.668 0.752 0.818
P 0.541 0.109 0.098
P 0.459 0.891 0.902
P 0.463 0.613 0.910
P 0.537 0.387 0.090
O 0.938 0.509 0.585
O 0.062 0.491 0.415
O 0.838 0.366 0.465
O 0.162 0.634 0.535
O 0.194 0.355 0.596
O 0.806 0.645 0.404
O 0.557 0.394 0.587
O 0.443 0.606 0.413
O 0.913 0.398 0.721
O 0.087 0.602 0.279
O 0.839 0.243 0.603
O 0.161 0.757 0.397
O 0.792 0.376 0.864
O 0.208 0.624 0.136
O 0.510 0.525 0.867
O 0.490 0.475 0.133
O 0.159 0.397 0.859
O 0.841 0.603 0.141
O 0.515 0.395 0.995
O 0.485 0.605 0.005
O 0.457 0.257 0.863
O 0.543 0.743 0.137
O 0.437 0.389 0.732
O 0.563 0.611 0.268
O 0.186 0.128 0.604
O 0.814 0.872 0.396
O 0.808 0.115 0.472
O 0.192 0.885 0.528
O 0.553 0.089 0.600
O 0.447 0.911 0.400
O 0.915 0.101 0.734
O 0.085 0.899 0.266
O 0.933 0.977 0.598
O 0.067 0.023 0.402
O 0.498 0.992 0.894
O 0.502 0.008 0.106
O 0.790 0.138 0.873
O 0.210 0.862 0.127
O 0.433 0.114 0.742
O 0.567 0.886 0.258
O 0.158 0.120 0.872
O 0.842 0.880 0.128
O 0.519 0.140 0.006
O 0.481 0.860 0.994
O 0.908 0.164 0.335
O 0.092 0.836 0.665
O 0.508 0.260 0.254
O 0.492 0.740 0.746
O 0.905 0.370 0.314
O 0.095 0.630 0.686
O 0.127 0.253 0.209
O 0.873 0.747 0.791
O 0.736 0.143 0.150
O 0.264 0.857 0.850
O 0.262 0.655 0.872
O 0.738 0.345 0.128
O 0.316 0.975 0.658
O 0.684 0.025 0.342
O 0.348 0.319 0.108
O 0.652 0.681 0.892
O 0.987 0.254 0.796
O 0.013 0.746 0.204
O 0.344 0.152 0.136
O 0.656 0.848 0.864
O 0.329 0.516 0.632
O 0.671 0.484 0.368

The size of the total moment comes out at 21.970 Bohr magnetons per cell. The space group is P-1.

---

[2]
An optimized crystal structure of Li11V6O5F19. Source: Materials Project, functional GGA+U.

Cell lengths 5.163, 5.439, 16.275 Å; angles 99.31, 90.40, 90.69 degrees
Atoms (fractional coordinates):
Li 0.484 0.243 0.559
Li 0.008 0.367 0.889
Li 0.508 0.408 0.782
Li 0.000 0.102 0.230
Li 0.508 0.106 0.105
Li 0.996 0.247 0.429
Li 0.011 0.717 0.557
Li 0.498 0.547 0.223
Li 0.475 0.905 0.891
Li 0.999 0.604 0.107
Li 0.499 0.794 0.442
V 0.994 0.029 0.004
V 0.984 0.348 0.665
V 0.502 0.167 0.334
V 0.519 0.820 0.666
V 0.496 0.466 0.002
V 0.003 0.668 0.334
O 0.679 0.169 0.967
O 0.810 0.352 0.310
O 0.689 0.512 0.630
O 0.189 0.322 0.042
O 0.201 0.978 0.364
F 0.827 0.002 0.624
F 0.329 0.176 0.692
F 0.639 0.154 0.452
F 0.861 0.984 0.120
F 0.865 0.350 0.779
F 0.365 0.183 0.219
F 0.361 0.513 0.886
F 0.131 0.347 0.548
F 0.823 0.669 0.970
F 0.316 0.495 0.381
F 0.186 0.664 0.696
F 0.141 0.647 0.219
F 0.859 0.691 0.451
F 0.649 0.484 0.119
F 0.137 0.027 0.890
F 0.601 0.854 0.781
F 0.365 0.851 0.554
F 0.684 0.836 0.291
F 0.316 0.817 0.038

The size of the total moment comes out at 12.000 Bohr magnetons per cell. The space group is P1.

---

[3]
An optimized crystal structure of Li4Ti4VCr4O18. Source: Materials Project, functional GGA+U.

Cell lengths 2.962, 9.148, 24.808 Å; angles 90.00, 90.00, 90.00 degrees
Atoms (fractional coordinates):
Li 0.000 0.192 0.988
Li 0.000 0.203 0.189
Li 0.000 0.297 0.689
Li 0.000 0.308 0.488
Li 0.000 0.692 0.512
Li 0.000 0.703 0.311
Li 0.000 0.797 0.811
Li 0.000 0.808 0.012
Ti 0.000 0.997 0.102
Ti 0.500 0.159 0.805
Ti 0.500 0.341 0.305
Ti 0.000 0.503 0.602
Ti 0.000 0.497 0.398
Ti 0.500 0.659 0.695
Ti 0.500 0.841 0.195
Ti 0.000 0.003 0.898
V 0.000 0.000 0.500
V 0.000 0.500 0.000
Cr 0.000 0.003 0.312
Cr 0.500 0.156 0.584
Cr 0.500 0.344 0.084
Cr 0.000 0.497 0.812
Cr 0.000 0.503 0.188
Cr 0.500 0.656 0.916
Cr 0.500 0.844 0.416
Cr 0.000 0.997 0.688
O 0.000 0.992 0.423
O 0.000 0.008 0.577
O 0.500 0.066 0.942
O 0.500 0.042 0.158
O 0.500 0.130 0.663
O 0.000 0.108 0.755
O 0.500 0.148 0.502
O 0.500 0.137 0.290
O 0.000 0.189 0.855
O 0.000 0.197 0.082
O 0.000 0.303 0.582
O 0.000 0.311 0.355
O 0.500 0.363 0.790
O 0.500 0.352 0.002
O 0.000 0.392 0.255
O 0.500 0.370 0.163
O 0.500 0.458 0.658
O 0.500 0.434 0.442
O 0.000 0.492 0.077
O 0.000 0.508 0.923
O 0.500 0.566 0.558
O 0.500 0.542 0.342
O 0.500 0.630 0.837
O 0.000 0.608 0.745
O 0.500 0.648 0.998
O 0.500 0.637 0.210
O 0.000 0.689 0.645
O 0.000 0.697 0.418
O 0.000 0.803 0.918
O 0.000 0.811 0.145
O 0.500 0.863 0.710
O 0.500 0.852 0.498
O 0.000 0.892 0.245
O 0.500 0.870 0.337
O 0.500 0.958 0.842
O 0.500 0.934 0.058

The size of the total moment comes out at 26.000 Bohr magnetons per cell. The space group is Pbam.

---

[4]
An optimized crystal structure of NaNiF3. Source: Materials Project, functional GGA+U.

Cell lengths 5.322, 5.322, 7.443 Å; angles 90.00, 90.00, 146.65 degrees
Atoms (fractional coordinates):
Na 0.744 0.256 0.250
Na 0.256 0.744 0.750
Ni 0.000 0.000 0.500
Ni 0.000 0.000 0.000
F 0.076 0.924 0.250
F 0.924 0.076 0.750
F 0.373 0.627 0.442
F 0.627 0.373 0.558
F 0.373 0.627 0.058
F 0.627 0.373 0.942

The space group is Cmcm.

---

[5]
An optimized crystal structure of Ba4CaFe4Cu2F28. Source: Materials Project, functional GGA+U.

Cell lengths 7.598, 7.598, 15.195 Å; angles 89.37, 89.37, 42.22 degrees
Atoms (fractional coordinates):
Ba 0.755 0.876 0.384
Ba 0.879 0.740 0.865
Ba 0.260 0.121 0.135
Ba 0.124 0.245 0.616
Ca 0.590 0.410 0.000
Fe 0.861 0.900 0.620
Fe 0.151 0.090 0.877
Fe 0.910 0.849 0.123
Fe 0.100 0.139 0.380
Cu 0.498 0.501 0.751
Cu 0.499 0.502 0.249
F 0.939 0.078 0.095
F 0.615 0.109 0.203
F 0.382 0.884 0.291
F 0.143 0.349 0.333
F 0.497 0.398 0.354
F 0.602 0.503 0.646
F 0.116 0.618 0.709
F 0.922 0.061 0.905
F 0.017 0.632 0.533
F 0.854 0.646 0.149
F 0.586 0.155 0.541
F 0.651 0.857 0.667
F 0.186 0.583 0.039
F 0.417 0.814 0.961
F 0.395 0.502 0.861
F 0.967 0.351 0.974
F 0.311 0.849 0.772
F 0.050 0.937 0.399
F 0.689 0.156 0.733
F 0.844 0.311 0.267
F 0.891 0.385 0.797
F 0.845 0.414 0.459
F 0.649 0.033 0.026
F 0.151 0.689 0.228
F 0.498 0.605 0.139
F 0.063 0.950 0.601
F 0.368 0.983 0.467
F 0.354 0.146 0.851

The size of the total moment comes out at 20.000 Bohr magnetons per cell. The space group is C2.

---

[6]
An optimized crystal structure of LaMn2O5. Source: Materials Project, functional GGA+U.

Cell lengths 5.844, 7.750, 8.797 Å; angles 90.00, 90.00, 90.00 degrees
Atoms (fractional coordinates):
La 0.000 0.354 0.673
La 0.000 0.646 0.327
La 0.000 0.854 0.827
La 0.000 0.146 0.173
Mn 0.500 0.090 0.851
Mn 0.500 0.910 0.149
Mn 0.500 0.590 0.649
Mn 0.500 0.410 0.351
Mn 0.258 0.500 0.000
Mn 0.742 0.000 0.500
Mn 0.742 0.500 0.000
Mn 0.258 0.000 0.500
O 0.250 0.904 0.293
O 0.250 0.096 0.707
O 0.750 0.404 0.207
O 0.750 0.596 0.793
O 0.750 0.096 0.707
O 0.750 0.904 0.293
O 0.250 0.596 0.793
O 0.250 0.404 0.207
O 0.500 0.348 0.937
O 0.500 0.652 0.063
O 0.500 0.848 0.563
O 0.500 0.152 0.437
O 0.279 0.000 0.000
O 0.721 0.500 0.500
O 0.721 0.000 0.000
O 0.279 0.500 0.500
O 0.000 0.155 0.449
O 0.000 0.845 0.551
O 0.000 0.655 0.051
O 0.000 0.345 0.949

The size of the total moment comes out at 28.003 Bohr magnetons per cell. The space group is Pbam.

---

Going through the records in order, we get final energy values of -706.3 -236.7 -479.1 -43.7 -201.8 -249.1 eV per cell.
Going through the records in order, we get ΔH_f (0 K) values of -123.808 -122.523 -85.645 -12.918 -118.403 -21.048 eV/f.u..